Record 1
Li3Cr2P3O12: optimized geometry, PBE with a Hubbard U.

abc: 8.824 9.077 15.015
angles: 81.59 72.98 60.96
Element x y z (fractional)
Li (0.000, 0.000, 0.000)
Li (0.007, 0.488, 0.501)
Li (0.103, 0.424, 0.152)
Li (0.200, 0.715, 0.558)
Li (0.326, 0.921, 0.651)
Li (0.410, 0.240, 0.748)
Li (0.477, 0.773, 0.943)
Li (0.535, 0.215, 0.057)
Li (0.610, 0.743, 0.249)
Li (0.680, 0.068, 0.349)
Li (0.812, 0.275, 0.441)
Li (0.912, 0.566, 0.849)
Cr (0.175, 0.016, 0.164)
Cr (0.245, 0.038, 0.468)
Cr (0.251, 0.539, 0.970)
Cr (0.360, 0.474, 0.335)
Cr (0.648, 0.515, 0.665)
Cr (0.758, 0.452, 0.030)
Cr (0.767, 0.950, 0.530)
Cr (0.835, 0.976, 0.835)
P (0.108, 0.853, 0.372)
P (0.192, 0.213, 0.970)
P (0.224, 0.213, 0.309)
P (0.257, 0.712, 0.811)
P (0.339, 0.638, 0.127)
P (0.382, 0.277, 0.529)
P (0.629, 0.712, 0.470)
P (0.669, 0.354, 0.873)
P (0.751, 0.278, 0.189)
P (0.788, 0.777, 0.690)
P (0.817, 0.778, 0.029)
P (0.901, 0.137, 0.626)
O (0.014, 0.743, 0.017)
O (0.065, 0.217, 0.393)
O (0.093, 0.884, 0.805)
O (0.105, 0.014, 0.600)
O (0.130, 0.674, 0.372)
O (0.180, 0.360, 0.020)
O (0.182, 0.816, 0.126)
O (0.199, 0.853, 0.446)
O (0.202, 0.197, 0.212)
O (0.204, 0.910, 0.282)
O (0.210, 0.565, 0.839)
O (0.225, 0.383, 0.301)
O (0.234, 0.241, 0.516)
O (0.273, 0.048, 0.029)
O (0.284, 0.515, 0.102)
O (0.302, 0.187, 0.870)
O (0.330, 0.716, 0.894)
O (0.357, 0.441, 0.469)
O (0.365, 0.306, 0.628)
O (0.391, 0.697, 0.713)
O (0.392, 0.065, 0.337)
O (0.399, 0.584, 0.218)
O (0.444, 0.860, 0.519)
O (0.504, 0.353, 0.947)
O (0.505, 0.639, 0.054)
O (0.566, 0.128, 0.480)
O (0.610, 0.405, 0.782)
O (0.617, 0.292, 0.286)
O (0.622, 0.929, 0.663)
O (0.645, 0.685, 0.370)
O (0.653, 0.547, 0.530)
O (0.679, 0.276, 0.105)
O (0.705, 0.808, 0.129)
O (0.724, 0.478, 0.898)
O (0.738, 0.942, 0.969)
O (0.777, 0.747, 0.483)
O (0.780, 0.610, 0.698)
O (0.796, 0.428, 0.162)
O (0.805, 0.083, 0.717)
O (0.808, 0.139, 0.552)
O (0.813, 0.791, 0.786)
O (0.826, 0.176, 0.874)
O (0.830, 0.630, 0.981)
O (0.881, 0.316, 0.626)
O (0.903, 0.974, 0.397)
O (0.916, 0.108, 0.194)
O (0.947, 0.769, 0.606)
O (0.995, 0.249, 0.982)

Values from the calculation:
For the formation enthalpy at 0 K, the calculation gives -4969 kJ/mol of formula units. The calculation puts the total moment at 0.30 μB/atom. Its crystal system is triclinic. The symmetry is No. 1.

***

Record 2
MgMn3Zn2O8: optimized geometry, PBE with a Hubbard U.

abc: 5.171 5.595 6.010
angles: 62.98 85.93 82.39
Element x y z (fractional)
Mg (0.000, 0.000, 0.000)
Mn (0.001, 0.737, 0.719)
Mn (0.004, 0.272, 0.271)
Mn (0.503, 0.505, 0.010)
Zn (0.472, 0.217, 0.649)
Zn (0.529, 0.801, 0.354)
O (0.132, 0.109, 0.611)
O (0.166, 0.609, 0.115)
O (0.304, 0.122, 0.141)
O (0.358, 0.573, 0.682)
O (0.660, 0.441, 0.329)
O (0.701, 0.891, 0.853)
O (0.855, 0.386, 0.932)
O (0.866, 0.933, 0.357)

Values from the calculation:
For the formation enthalpy at 0 K, the calculation gives -2700 kJ/mol of formula units. The calculation puts the total moment at 0.79 μB/atom. Its crystal system is triclinic. The symmetry is No. 1.

***

Record 3
MgCr2F12: optimized geometry, PBE with a Hubbard U.

abc: 5.207 5.347 8.977
angles: 73.55 89.97 60.91
Element x y z (fractional)
Mg (0.000, 0.000, 0.000)
Cr (0.243, 0.507, 0.740)
Cr (0.757, 0.493, 0.260)
F (0.141, 0.266, 0.322)
F (0.176, 0.261, 0.912)
F (0.216, 0.737, 0.868)
F (0.283, 0.264, 0.636)
F (0.325, 0.735, 0.592)
F (0.352, 0.738, 0.174)
F (0.648, 0.262, 0.826)
F (0.675, 0.265, 0.408)
F (0.717, 0.736, 0.364)
F (0.784, 0.263, 0.132)
F (0.824, 0.739, 0.088)
F (0.859, 0.734, 0.678)

Values from the calculation:
For the formation enthalpy at 0 K, the calculation gives -3789 kJ/mol of formula units. Its crystal system is triclinic. The symmetry is No. 2.

***

Record 4
Zn3Fe4W6O24: optimized geometry, PBE with a Hubbard U.

abc: 7.217 8.411 10.337
angles: 105.08 104.32 101.26
Element x y z (fractional)
Zn (0.000, 0.000, 0.000)
Zn (0.277, 0.767, 0.288)
Zn (0.723, 0.233, 0.712)
Fe (0.042, 0.699, 0.512)
Fe (0.385, 0.451, 0.104)
Fe (0.615, 0.549, 0.896)
Fe (0.958, 0.301, 0.488)
W (0.099, 0.599, 0.838)
W (0.225, 0.160, 0.768)
W (0.412, 0.223, 0.382)
W (0.588, 0.777, 0.618)
W (0.775, 0.840, 0.232)
W (0.901, 0.401, 0.162)
O (0.019, 0.227, 0.674)
O (0.068, 0.551, 0.644)
O (0.110, 0.818, 0.945)
O (0.148, 0.531, 0.156)
O (0.176, 0.936, 0.677)
O (0.219, 0.185, 0.948)
O (0.243, 0.288, 0.471)
O (0.298, 0.998, 0.274)
O (0.329, 0.534, 0.918)
O (0.348, 0.749, 0.485)
O (0.442, 0.346, 0.266)
O (0.469, 0.266, 0.764)
O (0.531, 0.734, 0.236)
O (0.558, 0.654, 0.734)
O (0.652, 0.251, 0.515)
O (0.671, 0.466, 0.082)
O (0.702, 0.002, 0.726)
O (0.757, 0.712, 0.529)
O (0.781, 0.815, 0.052)
O (0.824, 0.064, 0.323)
O (0.852, 0.469, 0.844)
O (0.890, 0.182, 0.055)
O (0.932, 0.449, 0.356)
O (0.981, 0.773, 0.326)

Values from the calculation:
For the formation enthalpy at 0 K, the calculation gives -6726 kJ/mol of formula units. The calculation puts the total moment at 0.49 μB/atom. Its crystal system is triclinic. The symmetry is No. 2.